# ZnCu3P4O14

ZnCu3P4O14 after structural relaxation (PBE, Materials Project).

Results
E_form = -2.0784 eV/atom
space group = No. 14
density = 3.95 Mg/m³
crystal system = monoclinic

Cell lengths 7.1550, 7.9363, 9.3506 Å; angles 90.00, 106.98, 90.00 degrees
With the nearest neighbours (Å) after each atom.
Atoms (fractional coordinates):
Zn1 0.0000 0.0000 0.0000  2 O 1.87
Zn2 0.0000 0.5000 0.5000  2 O 1.87
Cu1 0.3270 0.1349 0.4980  4 O 1.95-2.00
Cu2 0.3270 0.3651 0.9980  4 O 1.95-2.00
Cu3 0.5000 0.0000 0.0000  4 O 2.03
Cu4 0.5000 0.5000 0.5000  4 O 2.03
Cu5 0.6730 0.6349 0.0020  4 O 1.95-2.00
Cu6 0.6730 0.8651 0.5020  4 O 1.95-2.00
P1 0.0725 0.0422 0.6984  4 O 1.50-1.62
P2 0.0725 0.4578 0.1984  4 O 1.50-1.62
P3 0.3850 0.7120 0.1981  4 O 1.52-1.61
P4 0.3850 0.7880 0.6981  4 O 1.52-1.61
P5 0.6150 0.2120 0.3019  4 O 1.52-1.61
P6 0.6150 0.2880 0.8019  4 O 1.52-1.61
P7 0.9275 0.5422 0.8016  4 O 1.50-1.62
P8 0.9275 0.9578 0.3016  4 O 1.50-1.62
O1 0.1390 0.0738 0.8707  1 P 1.56
O2 0.1390 0.4262 0.3707  1 P 1.56
O3 0.1445 0.5127 0.8571  1 P 1.50
O4 0.1445 0.9873 0.3571  1 P 1.50
O5 0.1538 0.1830 0.6218  1 P 1.53
O6 0.1538 0.3170 0.1218  1 P 1.53
O7 0.1701 0.6353 0.1739  2 P 1.61-1.62
O8 0.1701 0.8647 0.6739  2 P 1.61-1.62
O9 0.3469 0.6134 0.6254  1 P 1.53
O10 0.3469 0.8866 0.1254  1 P 1.53
O11 0.4745 0.7105 0.3720  1 P 1.56
O12 0.4745 0.7895 0.8720  1 P 1.56
O13 0.4937 0.5944 0.1222  1 P 1.52
O14 0.4937 0.9056 0.6222  1 P 1.52
O15 0.5063 0.0944 0.3778  1 P 1.52
O16 0.5063 0.4056 0.8778  1 P 1.52
O17 0.5255 0.2105 0.1280  1 P 1.56
O18 0.5255 0.2895 0.6280  1 P 1.56
O19 0.6531 0.1134 0.8746  1 P 1.53
O20 0.6531 0.3866 0.3746  1 P 1.53
O21 0.8299 0.1353 0.3261  2 P 1.61-1.62
O22 0.8299 0.3647 0.8261  2 P 1.61-1.62
O23 0.8462 0.6830 0.8782  1 P 1.53
O24 0.8462 0.8170 0.3782  1 P 1.53
O25 0.8555 0.0127 0.6429  1 P 1.50
O26 0.8555 0.4873 0.1429  1 P 1.50
O27 0.8610 0.5738 0.6293  1 P 1.56
O28 0.8610 0.9262 0.1293  1 P 1.56